Entry 1:
This record from Materials Project describes a geometry-optimized ZnBiWO5 structure. The functional is PBE+U.

CIF file:
```
data_ZnBiWO5
_cell_length_a 5.476
_cell_length_b 16.425
_cell_length_c 10.893
_cell_angle_alpha 90.00
_cell_angle_beta 90.00
_cell_angle_gamma 90.00
_symmetry_space_group_name_H-M 'P b c a'
_symmetry_Int_Tables_number 61
loop_
_symmetry_equiv_pos_as_xyz
'x,y,z'
'-x,-y,-z'
'-x+1/2,-y,z+1/2'
'x+1/2,y,-z+1/2'
'x+1/2,-y+1/2,-z'
'-x+1/2,y+1/2,z'
'-x,y+1/2,-z+1/2'
'x,-y+1/2,z+1/2'
loop_
_atom_site_label
_atom_site_type_symbol
_atom_site_fract_x
_atom_site_fract_y
_atom_site_fract_z
Zn1 Zn 0.037 0.040 0.126
Bi1 Bi 0.034 0.708 0.143
W1 W 0.068 0.593 0.859
O1 O 0.127 0.133 0.504
O2 O 0.127 0.145 0.202
O3 O 0.193 0.693 0.810
O4 O 0.201 0.036 0.958
O5 O 0.207 0.033 0.716
```

Summary:
Offset from the most stable computed form ... 0.00 eV/f.u.
MP2020-corrected energy ... -456.78 eV per cell
Formation energy from the elements ... -1.78 eV per atom


Entry 2:
This record from Materials Project describes a geometry-optimized K2RbTbMgV2O8 structure. The functional is PBE+U.

CIF file:
```
data_K2RbTbMgV2O8
_cell_length_a 11.038
_cell_length_b 5.827
_cell_length_c 8.286
_cell_angle_alpha 90.00
_cell_angle_beta 90.11
_cell_angle_gamma 90.00
_symmetry_space_group_name_H-M 'C 1 m 1'
_symmetry_Int_Tables_number 8
loop_
_symmetry_equiv_pos_as_xyz
'x,y,z'
'x,-y,z'
'x+1/2,y+1/2,z'
'x+1/2,-y+1/2,z'
loop_
_atom_site_label
_atom_site_type_symbol
_atom_site_fract_x
_atom_site_fract_y
_atom_site_fract_z
K1 K 0.000 0.000 0.000
K2 K 0.223 0.000 0.524
Rb1 Rb 0.138 0.500 0.187
Tb1 Tb 0.049 0.500 0.716
Mg1 Mg 0.305 0.500 0.754
V1 V 0.274 0.000 0.964
V2 V 0.385 0.500 0.469
O1 O 0.204 0.253 0.850
O2 O 0.209 0.000 0.155
O3 O 0.217 0.500 0.534
O4 O 0.398 0.500 0.265
O5 O 0.432 0.271 0.613
O6 O 0.439 0.000 0.941
```

Summary:
Offset from the most stable computed form ... 0.51 eV/f.u.
MP2020-corrected energy ... -209.45 eV per cell
Formation energy from the elements ... -2.50 eV per atom


Entry 3:
This record from Materials Project describes a geometry-optimized CsMg6CrO8 structure. The functional is PBE+U.

CIF file:
```
data_CsMg6CrO8
_cell_length_a 4.592
_cell_length_b 4.592
_cell_length_c 9.096
_cell_angle_alpha 90.00
_cell_angle_beta 90.00
_cell_angle_gamma 90.00
_symmetry_space_group_name_H-M 'P 4/m m m'
_symmetry_Int_Tables_number 123
_symmetry_space_group_name_Hall '-P 4 2'
loop_
_atom_site_label
_atom_site_type_symbol
_atom_site_fract_x
_atom_site_fract_y
_atom_site_fract_z
Cs1 Cs 0.000 0.000 0.000
Mg1 Mg 0.000 0.500 0.267
Mg2 Mg 0.500 0.500 0.000
Mg3 Mg 0.500 0.500 0.500
Cr1 Cr 0.000 0.000 0.500
O1 O 0.000 0.000 0.287
O2 O 0.000 0.500 0.000
O3 O 0.000 0.500 0.500
O4 O 0.500 0.500 0.255
```

Summary:
MP2020-corrected energy ... -95.50 eV per cell
Formation energy from the elements ... -2.24 eV per atom


Entry 4:
This record from Materials Project describes a geometry-optimized SrCa7Mn7CrO24 structure. The functional is PBE+U.

CIF file:
```
data_SrCa7Mn7CrO24
_cell_length_a 10.7946
_cell_length_b 10.7946
_cell_length_c 13.2106
_cell_angle_alpha 90.00
_cell_angle_beta 90.00
_cell_angle_gamma 120.00
_symmetry_space_group_name_H-M 'R 3 m'
_symmetry_Int_Tables_number 160
_symmetry_space_group_name_Hall 'R 3 -2"'
loop_
_atom_site_label
_atom_site_type_symbol
_atom_site_fract_x
_atom_site_fract_y
_atom_site_fract_z
Sr1 Sr 0.0000 0.0000 0.0000
Ca1 Ca 0.0000 0.0000 0.4937
Ca2 Ca 0.0049 0.5025 0.9967
Ca3 Ca 0.1690 0.3379 0.8321
Mn1 Mn 0.0000 0.0000 0.2481
Mn2 Mn 0.0003 0.5002 0.2472
Mn3 Mn 0.1670 0.3340 0.0812
Cr1 Cr 0.0000 0.0000 0.7460
O1 O 0.0003 0.2495 0.4980
O2 O 0.9996 0.2528 0.9974
O3 O 0.0819 0.1639 0.6658
O4 O 0.0842 0.1685 0.1665
O5 O 0.1661 0.0830 0.3313
O6 O 0.1660 0.0830 0.8278
```

Summary:
Offset from the most stable computed form ... 2.92 eV/f.u.
MP2020-corrected energy ... -915.09 eV per cell
Formation energy from the elements ... -2.42 eV per atom


Entry 5:
This record from Materials Project describes a geometry-optimized Cr3HO8 structure. The functional is PBE+U.

CIF file:
```
data_Cr3HO8
_cell_length_a 7.045
_cell_length_b 3.783
_cell_length_c 13.931
_cell_angle_alpha 90.00
_cell_angle_beta 100.91
_cell_angle_gamma 90.00
_symmetry_space_group_name_H-M 'P 1 21/m 1'
_symmetry_Int_Tables_number 11
loop_
_symmetry_equiv_pos_as_xyz
'x,y,z'
'-x,-y,-z'
'-x,y+1/2,-z'
'x,-y+1/2,z'
loop_
_atom_site_label
_atom_site_type_symbol
_atom_site_fract_x
_atom_site_fract_y
_atom_site_fract_z
Cr1 Cr 0.030 0.250 0.359
Cr2 Cr 0.258 0.250 0.586
Cr3 Cr 0.343 0.250 0.027
H1 H 0.159 0.250 0.197
O1 O 0.030 0.250 0.635
O2 O 0.049 0.250 0.237
O3 O 0.143 0.250 0.951
O4 O 0.200 0.750 0.593
O5 O 0.242 0.250 0.455
O6 O 0.314 0.250 0.141
O7 O 0.414 0.750 0.017
O8 O 0.467 0.250 0.652
```

Summary:
MP2020-corrected energy ... -180.81 eV per cell
Formation energy from the elements ... -1.54 eV per atom


Entry 6:
This record from Materials Project describes a geometry-optimized Li3Mn2CoO6 structure. The functional is PBE+U.

CIF file:
```
data_Li3Mn2CoO6
_cell_length_a 5.288
_cell_length_b 8.693
_cell_length_c 9.817
_cell_angle_alpha 90.00
_cell_angle_beta 96.78
_cell_angle_gamma 90.00
_symmetry_space_group_name_H-M 'C 1 2 1'
_symmetry_Int_Tables_number 5
loop_
_symmetry_equiv_pos_as_xyz
'x,y,z'
'-x,y,-z'
'x+1/2,y+1/2,z'
'-x+1/2,y+1/2,-z'
loop_
_atom_site_label
_atom_site_type_symbol
_atom_site_fract_x
_atom_site_fract_y
_atom_site_fract_z
Li1 Li 0.222 0.000 0.244
Li2 Li 0.223 0.834 0.744
Li3 Li 0.250 0.167 0.750
Mn1 Mn 0.000 0.331 0.500
Mn2 Mn 0.000 0.504 0.000
Mn3 Mn 0.000 0.837 0.000
Mn4 Mn 0.000 0.997 0.500
Co1 Co 0.000 0.167 0.000
Co2 Co 0.000 0.667 0.500
O1 O 0.107 0.671 0.884
O2 O 0.110 0.164 0.385
O3 O 0.117 0.991 0.882
O4 O 0.118 0.844 0.382
O5 O 0.157 0.340 0.894
O6 O 0.158 0.493 0.394
```

Summary:
Offset from the most stable computed form ... 0.06 eV/f.u.
MP2020-corrected energy ... -339.30 eV per cell
Formation energy from the elements ... -2.00 eV per atom